1.
! Lu2Te4O11 r²SCAN relaxed; values from VASP
! calculated formation energy: -2.051 eV/atom
! symmetry: C2/c, No. 15
! raw total energy: -278.39 eV/f.u.
! crystal system: monoclinic
! calculated density: 7.3 g cm⁻³
! calculated volume: 13.855 Å³ per atom
&SYSTEM
  ibrav = 0, nat = 34, ntyp = 3
/
ATOMIC_SPECIES
Lu 174.97 Lu.upf
Te 127.60 Te.upf
O 16.00 O.upf
CELL_PARAMETERS angstrom
6.1071 -2.5190 0.0000
6.1071 2.5190 0.0000
-4.3382 0.0000 15.3104
ATOMIC_POSITIONS angstrom
Lu 0.4655 1.2576 14.7578
Lu 5.2413 1.2576 8.2078
Lu 2.6346 -1.2576 7.1026
Lu 7.4104 -1.2576 0.5526
Te 1.8517 1.4202 9.5778
Te 3.2941 1.4231 4.6294
Te 6.7509 1.4231 3.0258
Te 3.8551 1.4202 13.3878
Te 4.0208 -1.4202 1.9226
Te 1.1250 -1.4231 12.2846
Te 4.5818 -1.4231 10.6810
Te 6.0242 -1.4202 5.7326
O 4.0550 2.1450 6.2259
O 5.9900 2.1450 1.4293
O -1.5776 0.2461 14.5156
O 0.2913 0.3109 9.5829
O 0.5914 -0.2461 6.8604
O 0.6891 0.2977 12.7885
O 2.4604 -0.3109 1.9277
O 2.8964 0.5164 8.3202
O 5.0225 0.7580 3.8276
O 2.8582 -0.2977 5.1333
O 2.8104 0.5164 14.6454
O 5.0655 -0.5164 0.6650
O 5.0178 0.2977 10.1771
O 2.8534 -0.7580 11.4828
O 4.9795 -0.5164 6.9902
O 5.4155 0.3109 13.3827
O 7.1869 -0.2977 2.5219
O 7.2845 0.2461 8.4500
O 7.5846 -0.3109 5.7275
O 9.4536 -0.2461 0.7948
O 1.8859 -2.1450 13.8811
O 3.8209 -2.1450 9.0845



2.
! Ti2In3Br9 r²SCAN relaxed; values from VASP
! calculated formation energy: -1.152 eV/atom
! symmetry: P1, No. 1
! raw total energy: -229.07 eV/f.u.
! crystal system: triclinic
! calculated density: 4.3 g cm⁻³
! calculated volume: 32.157 Å³ per atom
&SYSTEM
  ibrav = 0, nat = 28, ntyp = 3
/
ATOMIC_SPECIES
Ti 47.87 Ti.upf
In 114.82 In.upf
Br 79.90 Br.upf
CELL_PARAMETERS angstrom
7.4807 0.0000 0.0000
-3.7171 6.4922 0.0000
-0.1211 -0.2114 18.5397
ATOMIC_POSITIONS angstrom
Ti 0.0000 0.0000 0.0000
Ti -3.7850 6.2810 15.3430
Ti -0.0117 4.2282 6.0733
Ti 0.0074 4.1815 9.2659
In 0.0379 0.1437 11.4737
In 0.5487 0.2769 4.1635
In 0.2516 4.4839 2.2009
In -0.0132 4.8063 13.4347
In 3.7511 2.0997 8.5108
In 3.6984 2.0062 17.7811
Br -1.7926 3.1318 10.7311
Br -1.7807 3.2533 4.6556
Br -0.0668 1.8739 16.9620
Br -1.9967 5.2634 16.9727
Br -1.7903 5.2750 7.6961
Br 0.0420 2.1241 7.6103
Br 1.7869 0.8856 13.9722
Br 1.8533 1.0708 1.4859
Br 0.0111 6.3776 4.6933
Br 1.8046 3.1325 10.7377
Br 0.0005 6.3189 10.7597
Br 1.8416 3.2628 4.6409
Br 1.7898 5.2761 7.6942
Br 1.8465 5.2756 16.8826
Br 5.6750 1.0276 1.4721
Br 3.7644 4.4116 1.4721
Br 5.6529 0.9101 13.9099
Br 3.7405 4.2628 13.9237



3.
! CaGaGe r²SCAN relaxed; values from VASP
! calculated formation energy: -0.614 eV/atom
! symmetry: P6_3/mmc, No. 194
! raw total energy: -34.19 eV/f.u.
! crystal system: hexagonal
! calculated density: 4.6 g cm⁻³
! calculated volume: 22.187 Å³ per atom
&SYSTEM
  ibrav = 0, nat = 12, ntyp = 3
/
ATOMIC_SPECIES
Ca 40.08 Ca.upf
Ga 69.72 Ga.upf
Ge 72.64 Ge.upf
CELL_PARAMETERS angstrom
4.1926 0.0000 0.0000
-2.0963 3.6309 0.0000
0.0000 0.0000 17.4895
ATOMIC_POSITIONS angstrom
Ca 0.0000 0.0000 0.0000
Ca 0.0000 0.0000 4.3724
Ca 0.0000 0.0000 8.7447
Ca 0.0000 0.0000 13.1171
Ga 0.0000 2.4206 2.6589
Ga 0.0000 2.4206 6.0858
Ga 2.0963 1.2103 11.4037
Ga 2.0963 1.2103 14.8305
Ge 0.0000 2.4206 10.6912
Ge 0.0000 2.4206 15.5431
Ge 2.0963 1.2103 1.9464
Ge 2.0963 1.2103 6.7983



4.
! LiTm4Ge4 r²SCAN relaxed; values from VASP
! calculated formation energy: -0.920 eV/atom
! symmetry: Pnma, No. 62
! raw total energy: -206.64 eV/f.u.
! crystal system: orthorhombic
! calculated density: 8.4 g cm⁻³
! calculated volume: 21.329 Å³ per atom
&SYSTEM
  ibrav = 0, nat = 36, ntyp = 3
/
ATOMIC_SPECIES
Li 6.94 Li.upf
Tm 168.93 Tm.upf
Ge 72.64 Ge.upf
CELL_PARAMETERS angstrom
7.0225 0.0000 0.0000
0.0000 14.4334 0.0000
0.0000 0.0000 7.5753
ATOMIC_POSITIONS angstrom
Li 1.1358 3.6084 0.1760
Li 2.3754 10.8251 3.9636
Li 4.6471 3.6084 3.6117
Li 5.8867 10.8251 7.3994
Tm 0.1091 8.6268 5.2030
Tm 0.1091 13.0233 5.2030
Tm 1.1996 9.0580 1.3332
Tm 1.1996 12.5921 1.3332
Tm 2.3117 1.8413 5.1209
Tm 2.3117 5.3754 5.1209
Tm 3.4022 1.4101 1.4154
Tm 3.4022 5.8066 1.4154
Tm 3.6203 8.6268 6.1600
Tm 3.6203 13.0233 6.1600
Tm 4.7108 9.0580 2.4544
Tm 4.7108 12.5921 2.4544
Tm 5.8229 1.8413 6.2421
Tm 5.8229 5.3754 6.2421
Tm 6.9134 1.4101 2.3723
Tm 6.9134 5.8066 2.3723
Ge 0.1265 3.6084 4.4535
Ge 1.1818 0.5268 7.3168
Ge 1.1818 6.6899 7.3168
Ge 1.5193 10.8251 6.5388
Ge 1.9920 3.6084 2.7511
Ge 2.3294 7.7435 3.5291
Ge 2.3294 13.9066 3.5291
Ge 3.3847 10.8251 0.6658
Ge 3.6378 3.6084 6.9095
Ge 4.6931 0.5268 4.0462
Ge 4.6931 6.6899 4.0462
Ge 5.0305 10.8251 4.8242
Ge 5.5032 3.6084 1.0366
Ge 5.8407 7.7435 0.2585
Ge 5.8407 13.9066 0.2585
Ge 6.8960 10.8251 3.1218



5.
! P2W r²SCAN relaxed; values from VASP
! calculated formation energy: -0.358 eV/atom
! symmetry: C2/m, No. 12
! raw total energy: -70.45 eV/f.u.
! crystal system: monoclinic
! calculated density: 9.3 g cm⁻³
! calculated volume: 14.703 Å³ per atom
&SYSTEM
  ibrav = 0, nat = 6, ntyp = 2
/
ATOMIC_SPECIES
P 30.97 P.upf
W 183.84 W.upf
CELL_PARAMETERS angstrom
4.2390 -1.5953 0.0000
4.2390 1.5953 0.0000
-3.6643 0.0000 6.5227
ATOMIC_POSITIONS angstrom
P -0.6211 0.0000 2.6115
P -0.5055 0.0000 6.3596
P 5.3192 0.0000 0.1631
P 5.4349 0.0000 3.9112
W 1.8260 0.0000 1.9110
W 2.9877 0.0000 4.6117



6.
! Na3As r²SCAN relaxed; values from VASP
! calculated formation energy: -0.552 eV/atom
! symmetry: P6_3/mmc, No. 194
! raw total energy: -27.61 eV/f.u.
! crystal system: hexagonal
! calculated density: 2.4 g cm⁻³
! calculated volume: 24.506 Å³ per atom
&SYSTEM
  ibrav = 0, nat = 8, ntyp = 2
/
ATOMIC_SPECIES
Na 22.99 Na.upf
As 74.92 As.upf
CELL_PARAMETERS angstrom
5.0270 0.0000 0.0000
-2.5135 4.3535 0.0000
0.0000 0.0000 8.9578
ATOMIC_POSITIONS angstrom
Na 0.0000 0.0000 2.2395
Na 0.0000 0.0000 6.7184
Na 0.0000 2.9024 0.7207
Na 0.0000 2.9024 3.7582
Na 2.5135 1.4512 5.1996
Na 2.5135 1.4512 8.2371
As 0.0000 2.9024 6.7184
As 2.5135 1.4512 2.2395



7.
! Yb2Nd2O5 r²SCAN relaxed; values from VASP
! calculated formation energy: -3.007 eV/atom
! symmetry: P4/mmm, No. 123
! raw total energy: -188.82 eV/f.u.
! crystal system: tetragonal
! calculated density: 7.5 g cm⁻³
! calculated volume: 17.679 Å³ per atom
&SYSTEM
  ibrav = 0, nat = 9, ntyp = 3
/
ATOMIC_SPECIES
Yb 173.04 Yb.upf
Nd 144.24 Nd.upf
O 16.00 O.upf
CELL_PARAMETERS angstrom
3.7931 0.0000 0.0000
0.0000 3.7931 0.0000
0.0000 0.0000 11.0586
ATOMIC_POSITIONS angstrom
Yb 0.0000 0.0000 0.0000
Yb 0.0000 0.0000 5.5293
Nd 1.8966 1.8966 2.4729
Nd 1.8966 1.8966 8.5857
O 0.0000 1.8966 1.3384
O 0.0000 1.8966 9.7202
O 1.8966 0.0000 1.3384
O 1.8966 0.0000 9.7202
O 1.8966 1.8966 5.5293



8.
! AsIrS r²SCAN relaxed; values from VASP
! calculated formation energy: -0.699 eV/atom
! symmetry: P2_13, No. 198
! raw total energy: -77.20 eV/f.u.
! crystal system: cubic
! calculated density: 10.1 g cm⁻³
! calculated volume: 16.396 Å³ per atom
&SYSTEM
  ibrav = 0, nat = 12, ntyp = 3
/
ATOMIC_SPECIES
As 74.92 As.upf
Ir 192.22 Ir.upf
S 32.06 S.upf
CELL_PARAMETERS angstrom
5.8162 0.0000 0.0000
0.0000 5.8162 0.0000
0.0000 0.0000 5.8162
ATOMIC_POSITIONS angstrom
As 0.6799 0.6799 0.6799
As 2.2282 5.1363 3.5880
As 3.5880 2.2282 5.1363
As 5.1363 3.5880 2.2282
Ir 0.0186 2.9267 5.7976
Ir 2.8895 2.8895 2.8895
Ir 2.9267 5.7976 0.0186
Ir 5.7976 0.0186 2.9267
S 0.6548 2.2533 3.5629
S 2.2533 3.5629 0.6548
S 3.5629 0.6548 2.2533
S 5.1614 5.1614 5.1614



9.
! Mn2BO4 r²SCAN relaxed; values from VASP
! calculated formation energy: -2.308 eV/atom
! symmetry: P2_1/c, No. 14
! raw total energy: -76.76 eV/f.u.
! crystal system: monoclinic
! calculated density: 4.3 g cm⁻³
! calculated volume: 10.203 Å³ per atom
&SYSTEM
  ibrav = 0, nat = 28, ntyp = 3
/
ATOMIC_SPECIES
Mn 54.94 Mn.upf
B 10.81 B.upf
O 16.00 O.upf
CELL_PARAMETERS angstrom
3.2456 0.0000 0.0000
0.0000 9.4397 0.0000
-3.1707 0.0000 9.3243
ATOMIC_POSITIONS angstrom
Mn -0.7094 0.9430 2.9426
Mn -2.2947 3.7769 7.6047
Mn -0.8360 5.8307 5.2732
Mn 0.7494 8.3289 0.6111
Mn -0.6745 1.1108 8.7132
Mn 0.9108 3.6091 4.0510
Mn 2.3696 5.6628 1.7195
Mn 0.7842 8.4968 6.3816
B -0.6108 1.5815 5.8659
B 0.9746 3.1383 1.2038
B -0.8997 6.3014 8.1205
B 0.6857 7.8582 3.4583
O -0.8949 4.8686 3.6042
O -2.4802 9.2910 8.2664
O -0.4764 2.2532 4.6575
O -2.0617 2.4667 9.3196
O -0.8242 0.2429 5.8781
O 0.7611 4.4770 1.2160
O -0.9688 6.9918 6.9131
O 0.6165 7.1678 2.2510
O -0.5417 2.2719 7.0733
O 1.0437 2.4479 2.4111
O -0.6863 4.9627 8.1083
O 0.8991 9.1969 3.4461
O 2.1366 6.9730 0.0047
O 0.5512 7.1865 4.6668
O 2.5551 0.1487 1.0579
O 0.9697 4.5711 5.7200



10.
! ZrI4 r²SCAN relaxed; values from VASP
! calculated formation energy: -1.043 eV/atom
! symmetry: P-1, No. 2
! raw total energy: -126.20 eV/f.u.
! crystal system: triclinic
! calculated density: 2.1 g cm⁻³
! calculated volume: 95.483 Å³ per atom
&SYSTEM
  ibrav = 0, nat = 20, ntyp = 2
/
ATOMIC_SPECIES
Zr 91.22 Zr.upf
I 126.90 I.upf
CELL_PARAMETERS angstrom
8.3959 0.0000 0.0000
0.1444 8.4270 0.0000
1.3019 0.0932 26.9909
ATOMIC_POSITIONS angstrom
Zr 1.1947 3.0417 4.6562
Zr 3.3357 5.5279 1.5763
Zr 6.5065 2.9922 25.4146
Zr 8.6476 5.4784 22.3347
I 1.5360 3.5619 20.9245
I 1.2059 7.2127 1.5613
I 2.3250 7.2261 22.5743
I 1.3960 3.1386 1.7968
I 2.8504 1.4823 6.1162
I 4.4430 5.2218 25.7118
I 3.5358 5.0215 4.3975
I 4.5098 1.1606 25.3636
I 5.3324 7.3595 1.6273
I 6.3064 3.4987 22.5934
I 5.3992 3.2983 1.2792
I 6.9918 7.0378 20.8747
I 8.4462 5.3816 25.1942
I 7.5173 1.2941 4.4167
I 8.6363 1.3074 25.4297
I 8.3062 4.9582 6.0665



11.
! Zn2SbN3 r²SCAN relaxed; values from VASP
! calculated formation energy: -0.003 eV/atom
! raw total energy: -70.93 eV/f.u.
! calculated density: 6.3 g cm⁻³
! calculated volume: 12.957 Å³ per atom
&SYSTEM
  ibrav = 0, nat = 24, ntyp = 3
/
ATOMIC_SPECIES
Zn 65.41 Zn.upf
Sb 121.76 Sb.upf
N 14.01 N.upf
CELL_PARAMETERS angstrom
-8.5185 1.8918 -4.8784
-2.9654 -0.8098 4.8639
0.4934 5.2534 1.1755
ATOMIC_POSITIONS angstrom
Zn -7.4318 2.5145 -3.0056
Zn -3.6024 3.3547 4.0623
Zn -1.8480 1.2745 0.1922
Zn -9.1862 4.5947 0.8645
Zn -4.6553 1.1637 1.8656
Zn -6.3789 4.7055 -0.8089
Zn -7.5899 1.8155 0.1850
Zn -3.4442 4.0538 0.8717
Sb -0.6114 3.3896 2.3820
Sb -1.9150 0.4743 3.5278
Sb -6.3533 3.9306 2.3747
Sb -4.6915 1.8251 -1.3434
N -7.3269 4.4940 -2.5762
N -3.8308 0.0607 3.3387
N -1.6142 3.2254 0.6954
N -9.5435 1.3294 0.0671
N -4.5503 3.1432 2.2950
N -6.6073 1.4115 -1.5324
N -7.3561 3.7663 0.6882
N -3.8016 0.7884 0.0744
N -0.9788 0.1040 1.7495
N -1.6682 2.4751 3.8728
N -6.7207 0.6450 1.7422
N -4.4448 3.8259 -0.9984



12.
! EuNb2O6 r²SCAN relaxed; values from VASP
! calculated formation energy: -3.025 eV/atom
! symmetry: P2_1/c, No. 14
! raw total energy: -151.05 eV/f.u.
! crystal system: monoclinic
! calculated density: 6.1 g cm⁻³
! calculated volume: 13.147 Å³ per atom
&SYSTEM
  ibrav = 0, nat = 36, ntyp = 3
/
ATOMIC_SPECIES
Eu 151.96 Eu.upf
Nb 92.91 Nb.upf
O 16.00 O.upf
CELL_PARAMETERS angstrom
7.6701 0.0000 0.0000
0.0000 5.4930 0.0000
-0.0087 0.0000 11.2341
ATOMIC_POSITIONS angstrom
Eu 1.9173 0.2346 0.4756
Eu 1.9130 2.5119 6.0926
Eu 5.7484 2.9811 5.1415
Eu 5.7441 5.2583 10.7585
Nb 0.0262 0.1826 4.0112
Nb 0.0218 2.5639 9.6282
Nb 3.7727 0.1884 4.0130
Nb 3.7684 2.5580 9.6300
Nb 3.8930 2.9349 1.6041
Nb 3.8887 5.3045 7.2211
Nb 7.6396 2.9291 1.6058
Nb 7.6352 5.3104 7.2229
O 0.2927 3.9936 10.9482
O 0.2970 4.2459 5.3311
O 0.4251 3.4416 7.9704
O 0.4295 4.7979 2.3533
O 1.9145 0.2459 7.2561
O 1.9112 0.8375 4.2180
O 1.9068 1.9089 9.8351
O 1.9188 2.5006 1.6390
O 3.3946 3.4449 7.9709
O 3.3989 4.7946 2.3539
O 3.5262 3.9941 10.9482
O 3.5305 4.2453 5.3312
O 4.1309 1.2476 5.9029
O 4.1352 1.4988 0.2858
O 4.2625 0.6984 8.8802
O 4.2668 2.0481 3.2632
O 5.7426 2.9924 9.5950
O 5.7546 3.5840 1.3990
O 5.7502 4.6554 7.0160
O 5.7469 5.2471 3.9780
O 7.2319 0.6951 8.8808
O 7.2363 2.0514 3.2637
O 7.3644 1.2471 5.9029
O 7.3688 1.4994 0.2859